[1]
## CoGe (PBE)

Data for a relaxed structure of CoGe.

## Properties
Calculated volume ... 258.1 Å³/cell
Space group ... C2/m

```
data_CoGe
_chemical_formula_sum 'Co8 Ge8'
_cell_length_a 8.975
_cell_length_b 7.369
_cell_length_c 4.412
_cell_angle_alpha 90.00
_cell_angle_beta 117.79
_cell_angle_gamma 90.00
_symmetry_space_group_name_H-M 'P 1'
_symmetry_Int_Tables_number 1
_symmetry_space_group_name_Hall 'P 1'
loop_
_atom_site_label
_atom_site_type_symbol
_atom_site_fract_x
_atom_site_fract_y
_atom_site_fract_z
Co1 Co 0.000 0.000 0.000
Co2 Co 0.000 0.000 0.500
Co3 Co 0.250 0.250 0.000
Co4 Co 0.250 0.750 0.000
Co5 Co 0.500 0.500 0.000
Co6 Co 0.500 0.500 0.500
Co7 Co 0.750 0.250 0.000
Co8 Co 0.750 0.750 0.000
Ge1 Ge 0.000 0.309 0.500
Ge2 Ge 0.000 0.691 0.500
Ge3 Ge 0.233 0.500 0.480
Ge4 Ge 0.267 0.000 0.520
Ge5 Ge 0.500 0.191 0.500
Ge6 Ge 0.500 0.809 0.500
Ge7 Ge 0.733 0.000 0.480
Ge8 Ge 0.767 0.500 0.520
```

[2]
## Na3HfTaGe3O12 (PBE)

Data for a relaxed structure of Na3HfTaGe3O12.

## Properties
Calculated volume ... 1169.8 Å³/cell

```
data_Na3HfTaGe3O12
_chemical_formula_sum 'Na12 Hf4 Ta4 Ge12 O48'
_cell_length_a 16.256
_cell_length_b 9.417
_cell_length_c 9.321
_cell_angle_alpha 90.00
_cell_angle_beta 124.94
_cell_angle_gamma 90.00
_symmetry_space_group_name_H-M 'P 1'
_symmetry_Int_Tables_number 1
_symmetry_space_group_name_Hall 'P 1'
loop_
_atom_site_label
_atom_site_type_symbol
_atom_site_fract_x
_atom_site_fract_y
_atom_site_fract_z
Hf1 Hf 0.607 0.250 0.569
Na1 Na 0.999 0.616 0.745
O1 O 0.355 0.859 0.567
O2 O 0.252 0.833 0.751
O3 O 0.466 0.836 0.945
O4 O 0.079 0.152 0.244
Ge1 Ge 0.355 0.894 0.757
O5 O 0.079 0.848 0.744
Hf2 Hf 0.607 0.750 0.069
O6 O 0.142 0.343 0.920
Hf3 Hf 0.107 0.250 0.069
Ta1 Ta 0.893 0.248 0.431
O7 O 0.252 0.167 0.251
O8 O 0.152 0.577 0.745
Ge2 Ge 0.355 0.106 0.257
O9 O 0.929 0.920 0.073
O10 O 0.966 0.664 0.445
O11 O 0.855 0.359 0.567
O12 O 0.072 0.940 0.443
O13 O 0.850 0.415 0.258
Ge3 Ge 0.145 0.392 0.744
Na2 Na 0.999 0.384 0.245
Na3 Na 0.499 0.116 0.745
O14 O 0.579 0.348 0.744
Na4 Na 0.499 0.884 0.245
O15 O 0.408 0.350 0.756
O16 O 0.652 0.923 0.245
O17 O 0.466 0.164 0.445
O18 O 0.929 0.080 0.573
O19 O 0.152 0.423 0.245
Ge4 Ge 0.855 0.606 0.257
O20 O 0.572 0.440 0.443
O21 O 0.355 0.141 0.067
O22 O 0.531 0.824 0.552
O23 O 0.579 0.652 0.244
O24 O 0.244 0.700 0.256
Na5 Na 0.690 0.445 0.289
O25 O 0.744 0.800 0.756
Na6 Na 0.190 0.055 0.789
O26 O 0.652 0.077 0.745
Na7 Na 0.690 0.555 0.789
O27 O 0.531 0.176 0.052
O28 O 0.142 0.657 0.420
O29 O 0.072 0.060 0.943
Na8 Na 0.754 0.774 0.498
O30 O 0.031 0.676 0.052
O31 O 0.244 0.300 0.756
O32 O 0.429 0.580 0.573
O33 O 0.752 0.333 0.751
O34 O 0.908 0.850 0.756
O35 O 0.744 0.200 0.256
O36 O 0.855 0.641 0.067
Ta2 Ta 0.893 0.752 0.931
Ge5 Ge 0.645 0.108 0.244
O37 O 0.429 0.420 0.073
O38 O 0.031 0.324 0.552
O39 O 0.572 0.560 0.943
Ge6 Ge 0.855 0.394 0.757
O40 O 0.752 0.667 0.251
Ta3 Ta 0.393 0.252 0.931
Na9 Na 0.190 0.945 0.289
O41 O 0.350 0.915 0.258
O42 O 0.908 0.150 0.256
Ge7 Ge 0.996 0.960 0.755
Na10 Na 0.754 0.226 0.998
Na11 Na 0.254 0.274 0.498
Ge8 Ge 0.145 0.608 0.244
O43 O 0.642 0.843 0.920
Hf4 Hf 0.107 0.750 0.569
Ge9 Ge 0.645 0.892 0.744
O44 O 0.966 0.336 0.945
O45 O 0.850 0.585 0.758
O46 O 0.408 0.650 0.256
Na12 Na 0.254 0.726 0.998
Ge10 Ge 0.496 0.460 0.755
O47 O 0.642 0.157 0.420
O48 O 0.350 0.085 0.758
Ta4 Ta 0.393 0.748 0.431
Ge11 Ge 0.996 0.040 0.255
Ge12 Ge 0.496 0.540 0.255
```

[3]
## GaP2H15C5N2O8 (PBE)

Data for a relaxed structure of GaP2H15C5N2O8.

## Properties
Calculated volume ... 1304.5 Å³/cell
Space group ... Pnnm

```
data_GaP2H15C5N2O8
_chemical_formula_sum 'Ga4 P8 H60 C20 N8 O32'
_cell_length_a 9.133
_cell_length_b 15.502
_cell_length_c 9.214
_cell_angle_alpha 90.00
_cell_angle_beta 90.00
_cell_angle_gamma 90.00
_symmetry_space_group_name_H-M 'P 1'
_symmetry_Int_Tables_number 1
_symmetry_space_group_name_Hall 'P 1'
loop_
_atom_site_label
_atom_site_type_symbol
_atom_site_fract_x
_atom_site_fract_y
_atom_site_fract_z
Ga1 Ga 0.000 0.000 0.246
Ga2 Ga 0.000 0.000 0.754
Ga3 Ga 0.500 0.500 0.254
Ga4 Ga 0.500 0.500 0.746
P1 P 0.154 0.090 0.500
P2 P 0.159 0.893 0.000
P3 P 0.341 0.393 0.500
P4 P 0.346 0.590 0.000
P5 P 0.654 0.410 0.000
P6 P 0.659 0.607 0.500
P7 P 0.841 0.107 0.000
P8 P 0.846 0.910 0.500
H1 H 0.020 0.297 0.361
H2 H 0.020 0.297 0.639
H3 H 0.046 0.418 0.500
H4 H 0.053 0.295 0.000
H5 H 0.080 0.619 0.272
H6 H 0.080 0.619 0.728
H7 H 0.119 0.810 0.500
H8 H 0.138 0.557 0.500
H9 H 0.162 0.373 0.097
H10 H 0.162 0.373 0.903
H11 H 0.185 0.177 0.132
H12 H 0.185 0.177 0.868
H13 H 0.204 0.705 0.000
H14 H 0.215 0.759 0.271
H15 H 0.215 0.759 0.729
H16 H 0.285 0.259 0.229
H17 H 0.285 0.259 0.771
H18 H 0.296 0.205 0.500
H19 H 0.315 0.677 0.368
H20 H 0.315 0.677 0.632
H21 H 0.338 0.873 0.403
H22 H 0.338 0.873 0.597
H23 H 0.362 0.057 0.000
H24 H 0.381 0.310 0.000
H25 H 0.420 0.119 0.228
H26 H 0.420 0.119 0.772
H27 H 0.447 0.795 0.500
H28 H 0.454 0.918 0.000
H29 H 0.480 0.797 0.139
H30 H 0.480 0.797 0.861
H31 H 0.520 0.203 0.139
H32 H 0.520 0.203 0.861
H33 H 0.546 0.082 0.000
H34 H 0.553 0.205 0.500
H35 H 0.580 0.881 0.228
H36 H 0.580 0.881 0.772
H37 H 0.619 0.690 0.000
H38 H 0.638 0.943 0.000
H39 H 0.662 0.127 0.403
H40 H 0.662 0.127 0.597
H41 H 0.685 0.323 0.368
H42 H 0.685 0.323 0.632
H43 H 0.704 0.795 0.500
H44 H 0.715 0.741 0.229
H45 H 0.715 0.741 0.771
H46 H 0.785 0.241 0.271
H47 H 0.785 0.241 0.729
H48 H 0.796 0.295 0.000
H49 H 0.815 0.823 0.132
H50 H 0.815 0.823 0.868
H51 H 0.838 0.627 0.097
H52 H 0.838 0.627 0.903
H53 H 0.862 0.443 0.500
H54 H 0.881 0.190 0.500
H55 H 0.920 0.381 0.272
H56 H 0.920 0.381 0.728
H57 H 0.947 0.705 0.000
H58 H 0.954 0.582 0.500
H59 H 0.980 0.703 0.361
H60 H 0.980 0.703 0.639
C1 C 0.077 0.662 0.366
C2 C 0.077 0.662 0.634
C3 C 0.155 0.332 0.000
C4 C 0.215 0.717 0.367
C5 C 0.215 0.717 0.633
C6 C 0.285 0.217 0.133
C7 C 0.285 0.217 0.867
C8 C 0.345 0.832 0.500
C9 C 0.423 0.162 0.134
C10 C 0.423 0.162 0.866
C11 C 0.577 0.838 0.134
C12 C 0.577 0.838 0.866
C13 C 0.655 0.168 0.500
C14 C 0.715 0.783 0.133
C15 C 0.715 0.783 0.867
C16 C 0.785 0.283 0.367
C17 C 0.785 0.283 0.633
C18 C 0.845 0.668 0.000
C19 C 0.923 0.338 0.366
C20 C 0.923 0.338 0.634
N1 N 0.062 0.609 0.500
N2 N 0.218 0.772 0.500
N3 N 0.282 0.272 0.000
N4 N 0.438 0.109 0.000
N5 N 0.562 0.891 0.000
N6 N 0.718 0.728 0.000
N7 N 0.782 0.228 0.500
N8 N 0.938 0.391 0.500
O1 O 0.028 0.152 0.500
O2 O 0.057 0.906 0.137
O3 O 0.057 0.906 0.863
O4 O 0.158 0.031 0.362
O5 O 0.158 0.031 0.638
O6 O 0.194 0.639 0.000
O7 O 0.214 0.459 0.500
O8 O 0.214 0.801 0.000
O9 O 0.286 0.301 0.500
O10 O 0.286 0.959 0.000
O11 O 0.306 0.139 0.500
O12 O 0.342 0.531 0.138
O13 O 0.342 0.531 0.862
O14 O 0.443 0.406 0.363
O15 O 0.443 0.406 0.637
O16 O 0.472 0.652 0.000
O17 O 0.528 0.348 0.000
O18 O 0.557 0.594 0.363
O19 O 0.557 0.594 0.637
O20 O 0.658 0.469 0.138
O21 O 0.658 0.469 0.862
O22 O 0.694 0.861 0.500
O23 O 0.714 0.041 0.000
O24 O 0.714 0.699 0.500
O25 O 0.786 0.199 0.000
O26 O 0.786 0.541 0.500
O27 O 0.806 0.361 0.000
O28 O 0.842 0.969 0.362
O29 O 0.842 0.969 0.638
O30 O 0.943 0.094 0.137
O31 O 0.943 0.094 0.863
O32 O 0.972 0.848 0.500
```

[4]
## EuAl8Cu4 (PBE)

Data for a relaxed structure of EuAl8Cu4.

## Properties
Calculated volume ... 201.6 Å³/cell
Space group ... I4/mmm

```
data_EuAl8Cu4
_chemical_formula_sum 'Eu1 Al8 Cu4'
_cell_length_a 6.773
_cell_length_b 6.773
_cell_length_c 6.773
_cell_angle_alpha 98.25
_cell_angle_beta 98.25
_cell_angle_gamma 135.49
_symmetry_space_group_name_H-M 'P 1'
_symmetry_Int_Tables_number 1
_symmetry_space_group_name_Hall 'P 1'
loop_
_atom_site_label
_atom_site_type_symbol
_atom_site_fract_x
_atom_site_fract_y
_atom_site_fract_z
Eu1 Eu 0.000 0.000 0.000
Al1 Al 0.000 0.348 0.348
Al2 Al 0.000 0.652 0.652
Al3 Al 0.280 0.500 0.780
Al4 Al 0.348 0.000 0.348
Al5 Al 0.500 0.280 0.780
Al6 Al 0.500 0.720 0.220
Al7 Al 0.652 0.000 0.652
Al8 Al 0.720 0.500 0.220
Cu1 Cu 0.000 0.000 0.500
Cu2 Cu 0.000 0.500 0.000
Cu3 Cu 0.500 0.000 0.000
Cu4 Cu 0.500 0.500 0.500
```

[5]
## K4B10H4O19 (PBE)

Data for a relaxed structure of K4B10H4O19.

## Properties
Calculated volume ... 857.7 Å³/cell
Space group ... C2/c

```
data_K4B10H4O19
_chemical_formula_sum 'K8 B20 H8 O38'
_cell_length_a 9.831
_cell_length_b 9.831
_cell_length_c 13.475
_cell_angle_alpha 95.33
_cell_angle_beta 95.33
_cell_angle_gamma 41.44
_symmetry_space_group_name_H-M 'P 1'
_symmetry_Int_Tables_number 1
_symmetry_space_group_name_Hall 'P 1'
loop_
_atom_site_label
_atom_site_type_symbol
_atom_site_fract_x
_atom_site_fract_y
_atom_site_fract_z
K1 K 0.076 0.803 0.567
K2 K 0.178 0.388 0.653
K3 K 0.197 0.924 0.933
K4 K 0.388 0.178 0.153
K5 K 0.612 0.822 0.847
K6 K 0.803 0.076 0.067
K7 K 0.822 0.612 0.347
K8 K 0.924 0.197 0.433
B1 B 0.035 0.706 0.854
B2 B 0.070 0.766 0.310
B3 B 0.178 0.375 0.902
B4 B 0.234 0.930 0.190
B5 B 0.276 0.509 0.003
B6 B 0.294 0.965 0.646
B7 B 0.297 0.631 0.171
B8 B 0.369 0.703 0.329
B9 B 0.375 0.178 0.402
B10 B 0.491 0.724 0.497
B11 B 0.509 0.276 0.503
B12 B 0.625 0.822 0.598
B13 B 0.631 0.297 0.671
B14 B 0.703 0.369 0.829
B15 B 0.706 0.035 0.354
B16 B 0.724 0.491 0.997
B17 B 0.766 0.070 0.810
B18 B 0.822 0.625 0.098
B19 B 0.930 0.234 0.690
B20 B 0.965 0.294 0.146
H1 H 0.084 0.259 0.846
H2 H 0.259 0.084 0.346
H3 H 0.282 0.592 0.778
H4 H 0.408 0.718 0.722
H5 H 0.592 0.282 0.278
H6 H 0.718 0.408 0.222
H7 H 0.741 0.916 0.654
H8 H 0.916 0.741 0.154
O1 O 0.033 0.552 0.850
O2 O 0.089 0.181 0.647
O3 O 0.117 0.694 0.212
O4 O 0.136 0.675 0.768
O5 O 0.142 0.684 0.950
O6 O 0.181 0.089 0.147
O7 O 0.181 0.781 0.368
O8 O 0.197 0.221 0.889
O9 O 0.219 0.819 0.132
O10 O 0.221 0.197 0.389
O11 O 0.306 0.883 0.288
O12 O 0.316 0.341 0.970
O13 O 0.316 0.858 0.550
O14 O 0.325 0.864 0.732
O15 O 0.341 0.316 0.470
O16 O 0.378 0.477 0.091
O17 O 0.448 0.967 0.650
O18 O 0.454 0.546 0.250
O19 O 0.477 0.378 0.591
O20 O 0.523 0.622 0.409
O21 O 0.546 0.454 0.750
O22 O 0.552 0.033 0.350
O23 O 0.622 0.523 0.909
O24 O 0.659 0.684 0.530
O25 O 0.675 0.136 0.268
O26 O 0.684 0.142 0.450
O27 O 0.684 0.659 0.030
O28 O 0.694 0.117 0.712
O29 O 0.779 0.803 0.611
O30 O 0.781 0.181 0.868
O31 O 0.803 0.779 0.111
O32 O 0.819 0.219 0.632
O33 O 0.819 0.911 0.853
O34 O 0.858 0.316 0.050
O35 O 0.864 0.325 0.232
O36 O 0.883 0.306 0.788
O37 O 0.911 0.819 0.353
O38 O 0.967 0.448 0.150
```

[6]
## Mn2CuGe (PBE)

Data for a relaxed structure of Mn2CuGe.

## Properties
Calculated volume ... 211.1 Å³/cell
Space group ... F-43m

```
data_Mn2CuGe
_chemical_formula_sum 'Mn8 Cu4 Ge4'
_cell_length_a 5.955
_cell_length_b 5.955
_cell_length_c 5.955
_cell_angle_alpha 90.00
_cell_angle_beta 90.00
_cell_angle_gamma 90.00
_symmetry_space_group_name_H-M 'P 1'
_symmetry_Int_Tables_number 1
_symmetry_space_group_name_Hall 'P 1'
loop_
_atom_site_label
_atom_site_type_symbol
_atom_site_fract_x
_atom_site_fract_y
_atom_site_fract_z
Mn1 Mn 0.000 0.000 0.000
Mn2 Mn 0.000 0.500 0.500
Mn3 Mn 0.250 0.250 0.250
Mn4 Mn 0.250 0.750 0.750
Mn5 Mn 0.500 0.000 0.500
Mn6 Mn 0.500 0.500 0.000
Mn7 Mn 0.750 0.250 0.750
Mn8 Mn 0.750 0.750 0.250
Cu1 Cu 0.000 0.000 0.500
Cu2 Cu 0.000 0.500 0.000
Cu3 Cu 0.500 0.000 0.000
Cu4 Cu 0.500 0.500 0.500
Ge1 Ge 0.250 0.250 0.750
Ge2 Ge 0.250 0.750 0.250
Ge3 Ge 0.750 0.250 0.250
Ge4 Ge 0.750 0.750 0.750
```

[7]
## Cs3AgAs4Se8 (PBE)

Data for a relaxed structure of Cs3AgAs4Se8.

## Properties
Calculated volume ... 2375.9 Å³/cell
Space group ... C2/c

```
data_Cs3AgAs4Se8
_chemical_formula_sum 'Cs12 Ag4 As16 Se32'
_cell_length_a 13.655
_cell_length_b 13.655
_cell_length_c 23.171
_cell_angle_alpha 115.77
_cell_angle_beta 115.77
_cell_angle_gamma 38.27
_symmetry_space_group_name_H-M 'P 1'
_symmetry_Int_Tables_number 1
_symmetry_space_group_name_Hall 'P 1'
loop_
_atom_site_label
_atom_site_type_symbol
_atom_site_fract_x
_atom_site_fract_y
_atom_site_fract_z
Cs1 Cs 0.000 0.500 0.000
Cs2 Cs 0.054 0.340 0.230
Cs3 Cs 0.108 0.751 0.005
Cs4 Cs 0.211 0.789 0.750
Cs5 Cs 0.249 0.892 0.495
Cs6 Cs 0.340 0.054 0.730
Cs7 Cs 0.500 0.000 0.500
Cs8 Cs 0.660 0.946 0.270
Cs9 Cs 0.751 0.108 0.505
Cs10 Cs 0.789 0.211 0.250
Cs11 Cs 0.892 0.249 0.995
Cs12 Cs 0.946 0.660 0.770
Ag1 Ag 0.089 0.404 0.412
Ag2 Ag 0.404 0.089 0.912
Ag3 Ag 0.596 0.911 0.088
Ag4 Ag 0.911 0.596 0.588
As1 As 0.135 0.552 0.532
As2 As 0.191 0.539 0.384
As3 As 0.203 0.699 0.299
As4 As 0.301 0.797 0.201
As5 As 0.321 0.373 0.682
As6 As 0.373 0.321 0.182
As7 As 0.448 0.865 0.968
As8 As 0.461 0.809 0.116
As9 As 0.539 0.191 0.884
As10 As 0.552 0.135 0.032
As11 As 0.627 0.679 0.818
As12 As 0.679 0.627 0.318
As13 As 0.699 0.203 0.799
As14 As 0.797 0.301 0.701
As15 As 0.809 0.461 0.616
As16 As 0.865 0.448 0.468
Se1 Se 0.029 0.072 0.654
Se2 Se 0.065 0.225 0.401
Se3 Se 0.072 0.029 0.154
Se4 Se 0.112 0.584 0.211
Se5 Se 0.182 0.660 0.500
Se6 Se 0.191 0.298 0.617
Se7 Se 0.225 0.065 0.901
Se8 Se 0.269 0.349 0.883
Se9 Se 0.298 0.191 0.117
Se10 Se 0.340 0.818 0.000
Se11 Se 0.349 0.269 0.383
Se12 Se 0.388 0.510 0.378
Se13 Se 0.389 0.396 0.108
Se14 Se 0.396 0.389 0.608
Se15 Se 0.416 0.888 0.289
Se16 Se 0.490 0.612 0.122
Se17 Se 0.510 0.388 0.878
Se18 Se 0.584 0.112 0.711
Se19 Se 0.604 0.611 0.392
Se20 Se 0.611 0.604 0.892
Se21 Se 0.612 0.490 0.622
Se22 Se 0.651 0.731 0.617
Se23 Se 0.660 0.182 0.000
Se24 Se 0.702 0.809 0.883
Se25 Se 0.731 0.651 0.117
Se26 Se 0.775 0.935 0.099
Se27 Se 0.809 0.702 0.383
Se28 Se 0.818 0.340 0.500
Se29 Se 0.888 0.416 0.789
Se30 Se 0.928 0.971 0.846
Se31 Se 0.935 0.775 0.599
Se32 Se 0.971 0.928 0.346
```

[8]
## ErPd2Pb (PBE)

Data for a relaxed structure of ErPd2Pb.

## Properties
Calculated volume ... 323.5 Å³/cell
Space group ... Fm-3m

```
data_ErPd2Pb
_chemical_formula_sum 'Er4 Pd8 Pb4'
_cell_length_a 6.865
_cell_length_b 6.865
_cell_length_c 6.865
_cell_angle_alpha 90.00
_cell_angle_beta 90.00
_cell_angle_gamma 90.00
_symmetry_space_group_name_H-M 'P 1'
_symmetry_Int_Tables_number 1
_symmetry_space_group_name_Hall 'P 1'
loop_
_atom_site_label
_atom_site_type_symbol
_atom_site_fract_x
_atom_site_fract_y
_atom_site_fract_z
Er1 Er 0.000 0.000 0.000
Er2 Er 0.000 0.500 0.500
Er3 Er 0.500 0.000 0.500
Er4 Er 0.500 0.500 0.000
Pd1 Pd 0.250 0.250 0.250
Pd2 Pd 0.250 0.250 0.750
Pd3 Pd 0.250 0.750 0.250
Pd4 Pd 0.250 0.750 0.750
Pd5 Pd 0.750 0.250 0.250
Pd6 Pd 0.750 0.250 0.750
Pd7 Pd 0.750 0.750 0.250
Pd8 Pd 0.750 0.750 0.750
Pb1 Pb 0.000 0.000 0.500
Pb2 Pb 0.000 0.500 0.000
Pb3 Pb 0.500 0.000 0.000
Pb4 Pb 0.500 0.500 0.500
```

Number 1: E_tot -5.4173 eV per atom, energy of formation from the pure elements 0.448 eV per atom. Number 2: E_tot -7.1779 eV per atom, energy of formation from the pure elements -2.639 eV per atom. Number 3: E_tot -5.9238 eV per atom, energy of formation from the pure elements -1.025 eV per atom. Number 4: E_tot -4.6520 eV per atom, energy of formation from the pure elements -0.297 eV per atom. Number 5: E_tot -7.0417 eV per atom, energy of formation from the pure elements -2.562 eV per atom. Number 6: E_tot -6.6238 eV per atom, energy of formation from the pure elements 0.138 eV per atom. Number 7: E_tot -3.7774 eV per atom, energy of formation from the pure elements -0.756 eV per atom. Number 8: E_tot -5.3690 eV per atom, energy of formation from the pure elements -0.709 eV per atom.